VASP calculation (GGA-PBE) on a geometry-optimized Ba2S3 structure.

Unit cell a=9.1535 b=9.1535 c=9.1535 alpha=141.11 beta=141.11 gamma=56.17
Atoms (fractional coordinates):
Ba (0.5495, 0.5495, 0.0000)
Ba (0.9544, 0.9544, 0.0000)
Ba (0.7044, 0.2044, 0.5000)
Ba (0.2995, 0.7995, 0.5000)
S (0.4991, 0.9991, 0.5000)
S (0.7190, 0.3920, 0.3270)
S (0.7491, 0.7491, 0.0000)
S (0.0651, 0.3920, 0.6730)
S (0.1420, 0.9690, 0.8270)
S (0.1420, 0.3151, 0.1730)

- Magnetization: 0.00 μB/cell
- Total energy after the MP2020 corrections: -5.170 eV per atom
- Uncorrected energy: -48.679 eV/cell
- Calculated formation energy: -1.920 eV/atom